# 1
The following is a DFT calculation (PBE) of ThSe4O10 after structural relaxation.

Output
For the total energy, the calculation gives -734.95 eV/cell. The value obtained for the formation energy from the elements is -1.86 eV/atom. The magnetization is 0.00 μB/f.u.

Cell and atoms, written as extended XYZ:
```
120
Lattice="-6.039 -6.752 7.989 -4.201 -7.327 -9.369 10.596 -7.843 1.382" Properties=species:S:1:pos:R:3 pbc="T T T"
Th 0.317 -16.834 -0.395
Th -3.318 -9.052 3.640
Th 5.405 -8.933 0.998
Th -1.692 -9.025 -4.239
Th 0.039 -5.088 0.398
Th 3.674 -12.870 -3.638
Th -5.049 -12.989 -0.996
Th 2.048 -12.897 4.241
Se 1.487 -9.805 6.777
Se -2.161 -12.024 1.656
Se 4.006 -16.219 -5.870
Se -2.620 -5.797 -2.559
Se -1.130 -12.117 -6.775
Se 2.517 -9.898 -1.654
Se -3.650 -5.703 5.872
Se 2.976 -16.125 2.561
Se -1.427 -12.660 -2.432
Se -1.353 -12.842 6.168
Se -0.638 -2.124 -2.062
Se 4.131 -16.218 -1.670
Se 1.783 -9.262 2.434
Se 1.709 -9.080 -6.166
Se 0.995 -19.798 2.064
Se -3.775 -5.704 1.672
Se -1.645 -9.215 7.162
Se 0.695 -13.095 0.655
Se -4.949 -10.633 -5.665
Se 6.612 -10.901 -2.149
Se 2.001 -12.707 -7.160
Se -0.339 -8.827 -0.653
Se 5.306 -11.289 5.667
Se -6.256 -11.021 2.151
Se 0.370 -14.805 -3.927
Se 1.718 -5.986 -2.937
Se 2.809 -13.804 7.894
Se -4.185 -9.248 -1.025
Se -0.014 -7.116 3.929
Se -1.361 -15.936 2.939
Se -2.453 -8.117 -7.892
Se 4.541 -12.674 1.027
O -5.021 -15.069 -2.341
O 0.556 -13.370 2.321
O -0.249 -3.297 2.085
O 5.426 -12.107 -2.061
O 5.377 -6.853 2.343
O -0.200 -8.552 -2.319
O 0.605 -18.625 -2.083
O -5.070 -9.815 2.063
O -1.949 -17.301 -1.085
O -2.076 -10.372 2.045
O 6.733 -9.515 2.928
O -1.996 -6.656 -3.884
O 2.305 -4.621 1.087
O 2.433 -11.550 -2.043
O -6.377 -12.407 -2.926
O 2.352 -15.266 3.886
O -0.150 -15.886 -2.720
O -3.737 -11.547 3.987
O 7.706 -7.831 0.897
O -3.107 -8.580 -2.160
O 0.506 -6.036 2.722
O 4.094 -10.375 -3.985
O -7.350 -14.091 -0.895
O 3.463 -13.342 2.162
O -1.035 -13.593 -3.997
O 3.246 -6.984 -2.594
O 4.236 -14.993 7.935
O -5.734 -8.273 -1.341
O 1.391 -8.328 3.999
O -2.890 -14.938 2.596
O -3.879 -6.929 -7.933
O 6.090 -13.649 1.343
O -0.214 -10.334 7.400
O -0.734 -11.972 0.423
O 4.149 -17.432 -4.433
O -2.489 -4.107 -3.386
O 0.570 -11.588 -7.398
O 1.090 -9.950 -0.421
O -3.793 -4.490 4.435
O 2.845 -17.815 3.388
O -1.223 -16.748 1.464
O -1.166 -8.072 3.144
O 4.994 -11.201 1.721
O -1.892 -7.822 -6.325
O 1.579 -5.174 -1.462
O 1.523 -13.850 -3.142
O -4.638 -10.721 -1.719
O 2.248 -14.099 6.327
O -2.049 -9.633 5.560
O 0.055 -14.497 -0.071
O -3.922 -9.517 -4.888
O 6.628 -10.196 -0.597
O 2.405 -12.289 -5.558
O 0.301 -7.425 0.073
O 4.278 -12.405 4.891
O -6.272 -11.726 0.599
O 0.599 -18.985 0.628
O -3.863 -7.361 2.030
O 3.385 -8.726 2.274
O 0.591 -8.773 -4.927
O -0.243 -2.937 -0.626
O 4.219 -14.561 -2.027
O -3.029 -13.196 -2.272
O -0.235 -13.149 4.930
O 2.514 -16.484 -1.226
O -5.303 -9.033 4.943
O 5.052 -7.222 -0.610
O -1.551 -11.105 -3.103
O -2.158 -5.438 1.228
O 5.659 -12.889 -4.941
O -4.696 -14.700 0.612
O 1.907 -10.817 3.105
O 1.818 -11.261 5.991
O -3.371 -12.100 0.482
O 3.546 -14.906 -4.914
O -1.281 -5.576 -1.555
O -1.462 -10.661 -5.989
O 3.727 -9.822 -0.480
O -3.190 -7.016 4.916
O 1.637 -16.346 1.557
```

---

# 2
The following is a DFT calculation (PBE) of Th3Se3O16 after structural relaxation.

Output
For the total energy, the calculation gives -303.97 eV/cell. The value obtained for the formation energy from the elements is -2.32 eV/atom. The magnetization is 2.00 μB/f.u.

Cell and atoms, written as extended XYZ:
```
44
Lattice="-5.734 5.734 5.354 5.734 -5.734 5.354 5.734 5.734 -5.354" Properties=species:S:1:pos:R:3 pbc="T T T"
Th 2.895 0.433 0.000
Th 2.839 5.301 5.354
Th 0.433 8.573 0.000
Th 5.301 -2.839 5.354
Th 0.000 0.000 8.051
Th 0.000 0.000 2.656
Se -1.412 2.532 5.354
Se 7.146 3.202 0.000
Se 2.532 1.412 5.354
Se 3.202 4.322 0.000
Se 0.000 5.734 2.677
Se 5.734 0.000 2.677
O 2.732 7.776 0.000
O 3.001 -2.042 5.354
O 2.042 3.001 5.354
O 3.692 2.732 0.000
O 1.253 5.092 3.571
O -1.253 6.376 3.571
O 5.092 -1.253 3.571
O 6.376 1.253 3.571
O 4.481 0.642 1.782
O 6.987 -0.642 1.782
O 0.642 6.987 1.782
O -0.642 4.481 1.782
O -1.320 4.194 5.354
O 7.054 1.540 0.000
O 4.194 1.320 5.354
O 1.540 4.414 0.000
O 6.856 -4.205 4.143
O 4.612 4.205 4.143
O -4.205 4.612 4.143
O 4.205 6.856 4.143
O -1.122 9.939 1.210
O 1.122 1.529 1.210
O 9.939 1.122 1.210
O 1.529 -1.122 1.210
O -0.634 1.955 3.990
O 6.368 3.779 -1.364
O 1.955 0.634 3.990
O 3.779 5.100 -1.364
O 6.368 3.779 1.364
O -0.634 1.955 6.717
O 3.779 5.100 1.364
O 1.955 0.634 6.717
```

---

# 3
The following is a DFT calculation (PBE) of ThSe2O6 after structural relaxation.

Output
The distance to the lowest polymorph of the same formula is 0 kJ/mol of formula units. For the total energy, the calculation gives -243.01 eV/cell. The value obtained for the formation energy from the elements is -2.31 eV/atom.

Cell and atoms, written as extended XYZ:
```
36
Lattice="10.942 0.000 0.000 0.000 7.277 0.000 0.000 5.004 7.183" Properties=species:S:1:pos:R:3 pbc="T T T"
Th 9.865 10.413 7.060
Th 6.548 7.911 3.469
Th 1.077 1.869 0.122
Th 4.394 4.371 3.714
Se 6.180 5.489 0.448
Se 10.233 7.991 4.039
Se 4.762 6.793 6.735
Se 0.709 4.291 3.143
Se 2.350 10.525 6.720
Se 3.121 8.023 3.129
Se 8.592 1.757 0.462
Se 7.821 4.259 4.053
O 1.108 11.770 6.591
O 4.363 9.267 3.000
O 9.834 0.512 0.592
O 6.579 3.014 4.183
O 5.223 4.520 1.521
O 0.248 7.023 5.113
O 5.719 7.761 5.661
O 10.694 5.259 2.070
O 1.144 9.262 6.858
O 4.327 6.760 3.267
O 9.798 3.019 0.324
O 6.615 5.522 3.916
O 2.858 10.373 5.100
O 2.613 7.871 1.508
O 8.084 1.909 2.083
O 8.329 4.411 5.674
O 7.746 4.769 0.637
O 8.667 7.271 4.228
O 3.196 7.513 6.546
O 2.275 5.011 2.955
O 6.465 6.973 1.311
O 9.948 9.475 4.902
O 4.477 5.309 5.871
O 0.994 2.806 2.280
```

---

# 4
The following is a DFT calculation (PBE) of ThSe2O6 after structural relaxation.

Output
The distance to the lowest polymorph of the same formula is 9 kJ/mol of formula units. For the total energy, the calculation gives -242.62 eV/cell. The value obtained for the formation energy from the elements is -2.30 eV/atom.

Cell and atoms, written as extended XYZ:
```
36
Lattice="6.757 0.000 0.000 0.000 7.297 0.000 0.000 0.000 11.295" Properties=species:S:1:pos:R:3 pbc="T T T"
Th 0.373 4.724 9.648
Th 3.752 2.573 1.646
Th 3.752 6.221 4.001
Th 0.373 1.076 7.294
Se 0.449 4.000 2.075
Se 3.828 3.296 9.220
Se 3.828 6.945 7.723
Se 0.449 0.352 3.572
Se 0.739 4.711 6.121
Se 4.117 2.586 5.173
Se 4.117 6.234 0.474
Se 0.739 1.063 10.821
O 0.555 5.920 7.397
O 3.933 1.377 3.898
O 3.933 5.026 1.750
O 0.555 2.271 9.545
O 1.157 4.162 0.492
O 4.536 3.135 10.803
O 4.536 6.783 6.139
O 1.157 0.514 5.155
O 1.060 3.418 7.237
O 4.439 3.879 4.058
O 4.439 0.231 1.590
O 1.060 7.066 9.705
O 2.295 5.057 5.511
O 5.673 2.240 5.783
O 5.673 5.888 11.159
O 2.295 1.408 0.136
O 1.742 3.124 2.824
O 5.120 4.173 8.470
O 5.120 0.525 8.472
O 1.742 6.772 2.823
O 6.068 2.733 1.790
O 2.689 4.564 9.505
O 2.689 0.916 7.437
O 6.068 6.381 3.857
```